The following is a PBE calculation of a relaxed structure of Li15Cr2N9, from Materials Project.

Piezoelectric modulus e_max   0.12 C/m2
E   -558.7 eV for the cell shown
E (MP2020)   -571.663 eV for the cell shown

a = 9.3790 Å, b = 10.2275 Å, c = 10.2186 Å
α = 90.00°, β = 90.00°, γ = 90.00°
Fractional positions:
Li 0.9996 0.2312 0.0008
Li 0.0004 0.7688 0.5008
Li 0.0007 0.4000 0.8308
Li 0.0149 0.5957 0.9671
Li 0.0147 0.7403 0.1388
Li 0.0149 0.9190 0.0000
Li 0.0165 0.7733 0.8158
Li 0.2131 0.0643 0.1362
Li 0.2180 0.9024 0.6619
Li 0.2338 0.6004 0.2955
Li 0.2388 0.4279 0.8343
Li 0.2432 0.0899 0.5126
Li 0.2433 0.2816 0.6422
Li 0.2436 0.2151 0.3203
Li 0.2439 0.4128 0.4469
Li 0.2501 0.2448 0.9813
Li 0.2499 0.7448 0.4813
Li 0.2564 0.7151 0.8203
Li 0.2561 0.9128 0.9469
Li 0.2568 0.5899 0.0126
Li 0.2567 0.7816 0.1422
Li 0.2612 0.9279 0.3343
Li 0.2662 0.1004 0.7955
Li 0.2820 0.4024 0.1619
Li 0.2869 0.5643 0.6362
Li 0.4835 0.2733 0.3158
Li 0.4851 0.0957 0.4671
Li 0.4853 0.2403 0.6388
Li 0.4851 0.4190 0.5000
Li 0.4993 0.9000 0.3308
Li 0.4996 0.2688 0.0008
Li 0.5004 0.7312 0.5008
Li 0.5007 0.1000 0.8308
Li 0.5149 0.5810 0.0000
Li 0.5147 0.7597 0.1388
Li 0.5149 0.9043 0.9671
Li 0.5165 0.7267 0.8158
Li 0.7131 0.4357 0.1362
Li 0.7180 0.5976 0.6619
Li 0.7338 0.8996 0.2955
Li 0.7388 0.0721 0.8343
Li 0.7433 0.2184 0.6422
Li 0.7432 0.4101 0.5126
Li 0.7439 0.0872 0.4469
Li 0.7436 0.2849 0.3203
Li 0.7501 0.2552 0.9813
Li 0.7499 0.7552 0.4813
Li 0.7561 0.5872 0.9469
Li 0.7564 0.7849 0.8203
Li 0.7567 0.7184 0.1422
Li 0.7568 0.9101 0.0126
Li 0.7612 0.5721 0.3343
Li 0.7662 0.3996 0.7955
Li 0.7820 0.0976 0.1619
Li 0.7869 0.9357 0.6362
Li 0.9835 0.2267 0.3158
Li 0.9851 0.0810 0.5000
Li 0.9853 0.2597 0.6388
Li 0.9851 0.4043 0.4671
Li 0.9993 0.6000 0.3308
Cr 0.0033 0.0812 0.8106
Cr 0.0035 0.5784 0.6507
Cr 0.4965 0.0784 0.1507
Cr 0.4967 0.5812 0.3106
Cr 0.5033 0.4188 0.8106
Cr 0.5035 0.9216 0.6507
Cr 0.9965 0.4216 0.1507
Cr 0.9967 0.9188 0.3106
N 0.1037 0.4196 0.2919
N 0.1055 0.0576 0.3225
N 0.1059 0.4344 0.6506
N 0.1074 0.0898 0.6687
N 0.1120 0.4124 0.0106
N 0.1126 0.7785 0.3198
N 0.1237 0.0827 0.9436
N 0.1240 0.7110 0.6498
N 0.1423 0.7527 0.9804
N 0.3577 0.2527 0.4804
N 0.3760 0.2110 0.1498
N 0.3763 0.5827 0.4436
N 0.3874 0.2785 0.8198
N 0.3880 0.9124 0.5106
N 0.3926 0.5898 0.1687
N 0.3945 0.5576 0.8225
N 0.3941 0.9344 0.1506
N 0.3963 0.9196 0.7919
N 0.6037 0.0804 0.2919
N 0.6059 0.0656 0.6506
N 0.6055 0.4424 0.3225
N 0.6074 0.4102 0.6687
N 0.6120 0.0876 0.0106
N 0.6126 0.7215 0.3198
N 0.6237 0.4173 0.9436
N 0.6240 0.7890 0.6498
N 0.6423 0.7473 0.9804
N 0.8577 0.2473 0.4804
N 0.8760 0.2890 0.1498
N 0.8763 0.9173 0.4436
N 0.8874 0.2215 0.8198
N 0.8880 0.5876 0.5106
N 0.8926 0.9102 0.1687
N 0.8941 0.5656 0.1506
N 0.8945 0.9424 0.8225
N 0.8963 0.5804 0.7919

---

The following is a PBE calculation of a relaxed structure of Li9CrN5, from Materials Project.

E   -154.9 eV for the cell shown
E (MP2020)   -158.506 eV for the cell shown

a = 5.8531 Å, b = 6.7916 Å, c = 7.6223 Å
α = 76.91°, β = 75.10°, γ = 73.41°
Fractional positions:
Li 0.0535 0.4690 0.1487
Li 0.0554 0.9297 0.1433
Li 0.1254 0.8494 0.4408
Li 0.1313 0.3684 0.4438
Li 0.2416 0.2562 0.7336
Li 0.3390 0.1606 0.0462
Li 0.3525 0.6398 0.0690
Li 0.4225 0.0467 0.3587
Li 0.4258 0.5590 0.3605
Li 0.5742 0.4410 0.6395
Li 0.5775 0.9533 0.6413
Li 0.6475 0.3602 0.9310
Li 0.6610 0.8394 0.9538
Li 0.7584 0.7438 0.2664
Li 0.8687 0.6316 0.5562
Li 0.8746 0.1506 0.5592
Li 0.9446 0.0703 0.8567
Li 0.9465 0.5310 0.8513
Cr 0.2527 0.7511 0.7519
Cr 0.7473 0.2489 0.2481
N 0.0519 0.1633 0.2823
N 0.0955 0.6536 0.3000
N 0.2969 0.4920 0.8749
N 0.3111 0.9223 0.8770
N 0.4578 0.7565 0.5372
N 0.5422 0.2435 0.4628
N 0.6889 0.0777 0.1230
N 0.7031 0.5080 0.1251
N 0.9045 0.3464 0.7000
N 0.9481 0.8367 0.7177